This record from the Materials Project describes a relaxed SrAl2Au2 crystal. The functional is PBE.

Output
Total DFT energy (no corrections)   -3.7977 eV per atom
Space group   No. 129
E_form   -0.6520 eV per atom

a = 4.529 Å, b = 4.529 Å, c = 10.539 Å
α = 90.00°, β = 90.00°, γ = 90.00°
Fractional positions:
Au 0.500 0.500 0.000
Au 0.000 0.000 0.000
Au 0.000 0.500 0.630
Au 0.500 0.000 0.370
Al 0.000 0.000 0.500
Al 0.500 0.000 0.125
Al 0.500 0.500 0.500
Al 0.000 0.500 0.875
Sr 0.000 0.500 0.249
Sr 0.500 0.000 0.751